# Na3LaZnSiS2O12

A relaxed structure of Na3LaZnSiS2O12 (PBE, Materials Project).

Calculated values
E_tot = -740.420 eV/cell
Formation energy from the elements = -2.421 eV/atom

Cell: 9.5071 9.5071 23.2439 Å, 90.97 90.97 59.72°
Atoms (fractional coordinates):
Na: 0.1168 0.8832 0.5000
Na: 0.1303 0.4945 0.0149
Na: 0.1377 0.7871 0.1723
Na: 0.1402 0.1475 0.4281
Na: 0.1475 0.1402 0.9281
Na: 0.1827 0.8282 0.8490
Na: 0.1981 0.4756 0.3281
Na: 0.4622 0.5028 0.2624
Na: 0.4756 0.1981 0.8281
Na: 0.4945 0.1303 0.5149
Na: 0.5028 0.4622 0.7624
Na: 0.5270 0.8077 0.6676
Na: 0.7871 0.1377 0.6723
Na: 0.8077 0.5270 0.1676
Na: 0.8231 0.8268 0.0949
Na: 0.8268 0.8231 0.5949
Na: 0.8282 0.1827 0.3490
Na: 0.8832 0.1168 0.0000
La: 0.1444 0.1751 0.7672
La: 0.1751 0.1444 0.2672
La: 0.4758 0.4922 0.1016
La: 0.4922 0.4758 0.6016
La: 0.8261 0.8288 0.4329
La: 0.8288 0.8261 0.9329
Zn: 0.1466 0.1769 0.5709
Zn: 0.1769 0.1466 0.0709
Zn: 0.4965 0.5064 0.9052
Zn: 0.5064 0.4965 0.4052
Zn: 0.7664 0.8898 0.7402
Zn: 0.8898 0.7664 0.2402
Si: 0.1463 0.4597 0.1674
Si: 0.1479 0.8091 0.3392
Si: 0.1978 0.8043 0.0000
Si: 0.4597 0.1463 0.6674
Si: 0.8043 0.1978 0.5000
Si: 0.8091 0.1479 0.8392
S: 0.1346 0.5310 0.8342
S: 0.1474 0.8627 0.6669
S: 0.1935 0.4776 0.4972
S: 0.4760 0.8558 0.1651
S: 0.4776 0.1935 0.9972
S: 0.4788 0.7999 0.5030
S: 0.5238 0.8136 0.8301
S: 0.5310 0.1346 0.3342
S: 0.7999 0.4788 0.0030
S: 0.8136 0.5238 0.3301
S: 0.8558 0.4760 0.6651
S: 0.8627 0.1474 0.1669
O: 0.0000 0.8465 0.6698
O: 0.0118 0.8225 0.9978
O: 0.0233 0.6188 0.4954
O: 0.0285 0.6296 0.7865
O: 0.0329 0.8389 0.3956
O: 0.0536 0.5940 0.8909
O: 0.0616 0.7794 0.2801
O: 0.1304 0.9647 0.6162
O: 0.1349 0.3582 0.1104
O: 0.1461 0.9834 0.3346
O: 0.1528 0.3723 0.2282
O: 0.1642 0.9403 0.7212
O: 0.1679 0.9916 0.0083
O: 0.1768 0.3556 0.8319
O: 0.1951 0.3206 0.5028
O: 0.2672 0.5086 0.5496
O: 0.2736 0.6956 0.0583
O: 0.2886 0.4669 0.4457
O: 0.2925 0.5309 0.8335
O: 0.2950 0.5028 0.1681
O: 0.3006 0.7008 0.6639
O: 0.3048 0.7059 0.9419
O: 0.3206 0.1951 0.0028
O: 0.3246 0.6367 0.3464
O: 0.3255 0.9629 0.5021
O: 0.3556 0.1768 0.3319
O: 0.3575 0.9653 0.8299
O: 0.3582 0.1349 0.6104
O: 0.3723 0.1528 0.7282
O: 0.3758 0.9211 0.2181
O: 0.3831 0.9535 0.1147
O: 0.4669 0.2886 0.9457
O: 0.4707 0.7034 0.4535
O: 0.4942 0.7162 0.5583
O: 0.5014 0.6702 0.8323
O: 0.5028 0.2950 0.6681
O: 0.5072 0.6830 0.1610
O: 0.5086 0.2672 0.0496
O: 0.5309 0.2925 0.3335
O: 0.5940 0.0536 0.3909
O: 0.6072 0.8285 0.8822
O: 0.6181 0.8018 0.7774
O: 0.6188 0.0233 0.9954
O: 0.6204 0.8283 0.4995
O: 0.6296 0.0285 0.2865
O: 0.6357 0.8455 0.1707
O: 0.6367 0.3246 0.8464
O: 0.6437 0.9728 0.6672
O: 0.6702 0.5014 0.3323
O: 0.6830 0.5072 0.6610
O: 0.6956 0.2736 0.5583
O: 0.7008 0.3006 0.1639
O: 0.7034 0.4707 0.9535
O: 0.7059 0.3048 0.4419
O: 0.7162 0.4942 0.0583
O: 0.7794 0.0616 0.7801
O: 0.8018 0.6181 0.2774
O: 0.8225 0.0118 0.4978
O: 0.8283 0.6204 0.9995
O: 0.8285 0.6072 0.3822
O: 0.8389 0.0329 0.8956
O: 0.8455 0.6357 0.6707
O: 0.8465 0.0000 0.1698
O: 0.9211 0.3758 0.7181
O: 0.9403 0.1642 0.2212
O: 0.9535 0.3831 0.6147
O: 0.9629 0.3255 0.0021
O: 0.9647 0.1304 0.1162
O: 0.9653 0.3575 0.3299
O: 0.9728 0.6437 0.1672
O: 0.9834 0.1461 0.8346
O: 0.9916 0.1679 0.5083

***

# Rb3Pu

A relaxed structure of Rb3Pu (PBE, Materials Project).

Calculated values
E_tot = -14.411 eV/cell
Formation energy from the elements = 0.700 eV/atom

Cell: 6.3573 6.3573 6.3573 Å, 95.62 95.62 95.62°
Atoms (fractional coordinates):
Rb: 0.0000 0.5000 0.5000
Rb: 0.5000 0.0000 0.5000
Rb: 0.5000 0.5000 0.0000
Pu: 0.0000 0.0000 0.0000

***

So what do the calculations give for total moment? Going down the list: 0.00; 1.77 μB/atom.